VASP calculation (PBE) on Mg3Si3Sb2O12 after structural relaxation.

abc: 10.679 10.679 10.679
angles: 109.47 109.47 109.47
Sites, in units of the cell vectors:
Mg (0.125, 0.250, 0.375)
Mg (0.125, 0.375, 0.750)
Mg (0.250, 0.375, 0.125)
Mg (0.250, 0.875, 0.625)
Mg (0.375, 0.125, 0.250)
Mg (0.375, 0.750, 0.125)
Mg (0.625, 0.250, 0.875)
Mg (0.625, 0.875, 0.750)
Mg (0.750, 0.125, 0.375)
Mg (0.750, 0.625, 0.875)
Mg (0.875, 0.625, 0.250)
Mg (0.875, 0.750, 0.625)
Si (0.125, 0.750, 0.875)
Si (0.125, 0.875, 0.250)
Si (0.250, 0.125, 0.875)
Si (0.250, 0.625, 0.375)
Si (0.375, 0.250, 0.625)
Si (0.375, 0.625, 0.750)
Si (0.625, 0.375, 0.250)
Si (0.625, 0.750, 0.375)
Si (0.750, 0.375, 0.625)
Si (0.750, 0.875, 0.125)
Si (0.875, 0.125, 0.750)
Si (0.875, 0.250, 0.125)
Sb (0.000, 0.000, 0.000)
Sb (0.000, 0.000, 0.500)
Sb (0.000, 0.500, 0.000)
Sb (0.000, 0.500, 0.500)
Sb (0.500, 0.000, 0.000)
Sb (0.500, 0.000, 0.500)
Sb (0.500, 0.500, 0.000)
Sb (0.500, 0.500, 0.500)
O (0.025, 0.230, 0.131)
O (0.025, 0.295, 0.894)
O (0.099, 0.730, 0.705)
O (0.099, 0.869, 0.394)
O (0.106, 0.631, 0.401)
O (0.106, 0.975, 0.705)
O (0.131, 0.025, 0.230)
O (0.131, 0.606, 0.901)
O (0.205, 0.230, 0.599)
O (0.205, 0.475, 0.606)
O (0.230, 0.131, 0.025)
O (0.230, 0.599, 0.205)
O (0.270, 0.295, 0.901)
O (0.270, 0.475, 0.369)
O (0.295, 0.894, 0.025)
O (0.295, 0.901, 0.270)
O (0.369, 0.270, 0.475)
O (0.369, 0.599, 0.894)
O (0.394, 0.099, 0.869)
O (0.394, 0.795, 0.525)
O (0.401, 0.106, 0.631)
O (0.401, 0.795, 0.770)
O (0.475, 0.369, 0.270)
O (0.475, 0.606, 0.205)
O (0.525, 0.394, 0.795)
O (0.525, 0.631, 0.730)
O (0.599, 0.205, 0.230)
O (0.599, 0.894, 0.369)
O (0.606, 0.205, 0.475)
O (0.606, 0.901, 0.131)
O (0.631, 0.401, 0.106)
O (0.631, 0.730, 0.525)
O (0.705, 0.099, 0.730)
O (0.705, 0.106, 0.975)
O (0.730, 0.525, 0.631)
O (0.730, 0.705, 0.099)
O (0.770, 0.401, 0.795)
O (0.770, 0.869, 0.975)
O (0.795, 0.525, 0.394)
O (0.795, 0.770, 0.401)
O (0.869, 0.394, 0.099)
O (0.869, 0.975, 0.770)
O (0.894, 0.025, 0.295)
O (0.894, 0.369, 0.599)
O (0.901, 0.131, 0.606)
O (0.901, 0.270, 0.295)
O (0.975, 0.705, 0.106)
O (0.975, 0.770, 0.869)

Results
The crystal system is cubic. As for the space-group type: Ia-3d, No. 230. The value obtained for the formation energy is -251.08 kJ per mole of atoms. The size of the total moment comes out at 0.00 μB/f.u.